Record 1
5
Lattice="3.0281 0.0000 0.0000 0.0000 3.0281 0.0000 0.0000 0.0000 15.3762" Properties=species:S:1:pos:R:3 comment="PBE-GGA Zr2SiTe2, optimized geometry" dft_energy_ev_per_atom=-5.431 total_magnetization_mub_per_fu=0.1 formation_energy_ev_per_atom=0.16 pbc="T T T"
Zr 1.5140 1.5140 2.6629
Zr 1.5140 1.5140 12.7133
Te 1.5140 1.5140 5.6121
Te 1.5140 1.5140 9.7641
Si 1.5140 1.5140 0.0000

---

Record 2
6
Lattice="-3.2602 -1.6489 -0.5760 -0.4525 -0.3809 3.6510 -4.5096 8.7914 0.3582" Properties=species:S:1:pos:R:3 comment="PBE-GGA ZrSiTe, optimized geometry" dft_energy_ev_per_atom=-6.505 formation_energy_ev_per_atom=-0.94 pbc="T T T"
Zr -4.8604 5.4728 -0.0315
Zr -1.5056 2.3037 1.9271
Si -4.1112 3.3808 1.7166
Si -2.2548 4.3957 0.1791
Te -2.2928 0.4674 -0.2354
Te -4.0732 7.3092 2.1311

---

Record 3
10
Lattice="-7.7609 0.2117 1.0838 -0.0536 -7.7567 1.1317 0.5861 0.5914 4.0817" Properties=species:S:1:pos:R:3 comment="PBE-GGA Th3Si2, optimized geometry" dft_energy_ev_per_atom=-7.279 formation_energy_ev_per_atom=-0.63 relative_energy_mev_per_atom=0 pbc="T T T"
Th 0.0000 0.0000 0.0000
Th -5.0035 -0.9657 2.9842
Th -3.9072 -3.7725 1.1077
Th -2.2249 -5.9879 3.3129
Th -1.1304 -2.1386 2.5980
Th -6.0979 -4.8149 3.6992
Si -4.8014 -6.7542 1.6682
Si -6.9083 -2.8176 1.4003
Si -0.9062 -4.7274 0.8151
Si -3.0131 -0.7908 0.5473

---

Record 4
8
Lattice="4.1144 0.0000 0.0000 0.0000 5.9059 0.0000 0.0000 0.0000 7.9909" Properties=species:S:1:pos:R:3 comment="PBE-GGA ThSi, optimized geometry" dft_energy_ev_per_atom=-7.114 formation_energy_ev_per_atom=-0.66 pbc="T T T"
Th 3.0858 3.6797 2.5581
Th 3.0858 5.1792 6.5536
Th 1.0286 0.7267 1.4373
Th 1.0286 2.2263 5.4328
Si 1.0286 3.6956 0.3008
Si 3.0858 0.7427 3.6947
Si 3.0858 2.2103 7.6901
Si 1.0286 5.1633 4.2962

---

What is the formula in the fourth record? ThSi